RbV2FeAg2O8 | GGA+U | optimized geometry

The structure in extended XYZ format:
```
28
Lattice="1.6174 0.5304 5.2739 13.6627 -5.4509 -3.6409 2.3412 4.7196 1.7191" Properties=species:S:1:pos:R:3 pbc="T T T"
O 5.7145 3.8189 4.8995
V 11.3189 0.0371 2.3495
Rb 13.6627 -5.4509 -3.6408
Ag 7.6539 1.4992 3.3256
Fe 14.2058 1.1617 4.2623
O 2.9626 3.3710 4.5761
V 6.3026 -0.2382 1.0026
O 11.4431 -1.6138 2.9925
Ag 14.4853 -1.2263 1.5052
O 12.9948 -2.9634 0.9532
O 6.1783 1.4128 0.3596
O 9.7943 0.6453 2.7556
Ag 9.9674 -1.7002 0.0265
Fe 5.0330 -0.8323 4.3637
O 14.6586 -3.5719 -1.2239
O 13.0098 -1.3128 -1.4608
O 4.6265 2.7625 2.3990
O 12.5461 1.0934 3.0790
O 4.6115 1.1118 4.8129
O 5.0752 -1.2944 0.2731
O 7.8273 -0.8464 0.5965
Rb 6.8313 -2.7254 -1.8204
O 11.9067 -4.0199 -1.5474
V 13.1340 -2.9637 -0.8178
V 4.4872 2.7628 4.1700
O 6.1633 -0.2379 2.7737
O 11.4581 0.0369 0.5784
Ag 3.1361 1.0253 1.8470
```

Density   4.8 g/cm3
E   -6.247 eV/atom

=====

Y3Ga3Fe2O12 | GGA+U | optimized geometry

The structure in extended XYZ format:
```
80
Lattice="-6.2388 6.2388 6.2388 6.2388 -6.2388 6.2388 6.2388 6.2388 -6.2388" Properties=species:S:1:pos:R:3 pbc="T T T"
Y 3.1194 1.5597 0.0000
Y 6.2388 3.1194 -1.5597
Y 1.5597 0.0000 3.1194
Y 7.7985 0.0000 3.1194
Y 0.0000 3.1194 1.5597
Y 3.1194 -1.5597 6.2388
Y 3.1194 7.7985 0.0000
Y 6.2388 3.1194 4.6791
Y -1.5597 6.2388 3.1194
Y 4.6791 6.2388 3.1194
Y 0.0000 3.1194 7.7985
Y 3.1194 4.6791 6.2388
Ga 9.3582 1.5597 0.0000
Ga 6.2388 -3.1194 4.6791
Ga 4.6791 6.2388 -3.1194
Ga 4.6791 0.0000 3.1194
Ga 3.1194 4.6791 0.0000
Ga 6.2388 3.1194 1.5597
Ga 0.0000 3.1194 4.6791
Ga 3.1194 1.5597 6.2388
Ga 1.5597 6.2388 3.1194
Ga 1.5597 0.0000 9.3582
Ga 0.0000 9.3582 1.5597
Ga -3.1194 4.6791 6.2388
Fe 0.0000 0.0000 0.0000
Fe 3.1194 3.1194 -3.1194
Fe 3.1194 -3.1194 3.1194
Fe 6.2388 0.0000 0.0000
Fe -3.1194 3.1194 3.1194
Fe 0.0000 6.2388 0.0000
Fe 0.0000 0.0000 6.2388
Fe 3.1194 3.1194 3.1194
O 1.8888 -0.3449 0.7068
O 7.4694 3.8262 -3.4643
O 8.1276 0.3449 0.7068
O 7.4694 -2.4126 3.4643
O 5.8939 -0.7068 1.8888
O 9.7031 -1.2306 2.4126
O 0.7068 1.8888 -0.3449
O 8.6514 2.7745 -1.2306
O 3.8262 3.4643 -1.2306
O 5.5320 1.8888 0.3449
O -0.3449 0.7068 1.8888
O 3.4643 -1.2306 3.8262
O 5.8939 5.5320 -1.8888
O 3.4643 1.2306 2.4126
O 3.8262 -3.4643 7.4694
O 5.5320 -1.8888 5.8939
O 2.4126 3.4643 1.2306
O 6.9456 4.3500 0.3449
O 3.4643 7.4694 -2.4126
O 5.8939 0.7068 4.3500
O 1.8888 5.8939 -0.7068
O 7.4694 2.4126 2.7745
O 1.2306 2.4126 3.4643
O 1.8888 0.3449 5.5320
O 4.3500 5.8939 0.7068
O 5.0082 3.8262 2.7745
O -1.2306 3.8262 3.4643
O 4.3500 0.3449 6.9456
O 0.3449 5.5320 1.8888
O 2.7745 -1.2306 8.6514
O -0.7068 1.8888 5.8939
O 3.8262 2.7745 5.0082
O 0.7068 8.1276 0.3449
O 2.4126 9.7031 -1.2306
O 2.7745 5.0082 3.8262
O 0.3449 0.7068 8.1276
O 2.7745 7.4694 2.4126
O 6.5837 5.5320 4.3500
O 0.7068 4.3500 5.8939
O 2.4126 2.7745 7.4694
O -2.4126 3.4643 7.4694
O 5.5320 4.3500 6.5837
O -3.4643 7.4694 3.8262
O 0.3449 6.9456 4.3500
O -1.2306 8.6514 2.7745
O -1.8888 5.8939 5.5320
O -1.2306 2.4126 9.7031
O 4.3500 6.5837 5.5320
```

Symmetry   Ia-3d, No. 230
Density   5.3 g/cm3
E   -7.423 eV/atom

=====

CaW2O4 | GGA+U | optimized geometry

The structure in extended XYZ format:
```
14
Lattice="0.0000 4.6916 4.6916 4.6916 0.0000 4.6916 4.6916 4.6916 0.0000" Properties=species:S:1:pos:R:3 pbc="T T T"
Ca 1.1729 1.1729 1.1729
Ca 8.2103 8.2103 8.2103
W 4.6916 2.3458 2.3458
W 2.3458 4.6916 2.3458
W 2.3458 2.3458 4.6916
W 4.6916 4.6916 4.6916
O 2.4947 2.4947 2.4947
O 4.5427 4.5427 2.4947
O 4.5427 2.4947 4.5427
O 6.8885 4.8405 4.8405
O 2.4947 4.5427 4.5427
O 4.8405 6.8885 4.8405
O 4.8405 4.8405 6.8885
O 6.8885 6.8885 6.8885
```

Symmetry   Fd-3m, No. 227
Density   7.6 g/cm3
E   -7.227 eV/atom
Relative energy among the computed polymorphs   0 meV/atom

=====

RbLi2Co2B3O9 | GGA+U | optimized geometry

The structure in extended XYZ format:
```
34
Lattice="6.3937 0.0000 0.0000 0.0000 5.0435 0.0000 -0.3006 0.0000 12.9326" Properties=species:S:1:pos:R:3 pbc="T T T"
Rb -0.0752 1.0551 3.2331
Rb -0.2255 3.9884 9.6994
Li 3.0664 0.8772 4.7405
Li 2.9161 4.1664 11.2068
Li 3.1770 0.8772 1.7258
Li 3.0267 4.1664 8.1920
Co 1.3333 1.5935 7.3135
Co 1.4837 3.4501 0.8472
Co 4.6094 1.5935 12.0854
Co 4.7597 3.4501 5.6191
B 0.9487 0.9208 12.3941
B 1.0990 4.1228 5.9278
B 2.9714 1.6795 9.6994
B 3.1217 3.3641 3.2331
B 4.9941 0.9208 7.0047
B 5.1444 4.1228 0.5384
O 0.0090 1.4990 11.5606
O 0.1593 3.5446 5.0943
O 1.4265 0.4253 5.8072
O 1.2762 4.6183 12.2735
O 1.8798 1.6667 0.4407
O 1.7294 3.3768 6.9069
O 2.3692 0.9022 8.6856
O 2.5195 4.1413 2.2193
O 3.1217 2.0232 3.2331
O 2.9714 3.0204 9.6994
O 3.5736 0.9022 10.7132
O 3.7239 4.1413 4.2470
O 4.3636 1.6667 6.0256
O 4.2133 3.3768 12.4919
O 4.8169 0.4253 0.6591
O 4.6666 4.6183 7.1254
O 5.9337 1.4990 7.8383
O 6.0841 3.5446 1.3720
```

Symmetry   P2/c, No. 13
Density   3.1 g/cm3
E   -6.606 eV/atom

=====

LaFe4Bi3O12 | GGA+U | optimized geometry

The structure in extended XYZ format:
```
20
Lattice="5.5353 0.0000 0.0000 0.0000 7.9210 0.0000 -0.0475 0.0000 5.6880" Properties=species:S:1:pos:R:3 pbc="T T T"
La 0.0000 0.0000 0.0000
Fe 0.0185 1.9984 3.0705
Fe 0.0185 5.9226 3.0705
Fe 2.8367 1.9871 0.2418
Fe 2.8367 5.9339 0.2418
Bi 0.1219 3.9605 0.4902
Bi 2.7457 3.9605 3.3352
Bi 2.8684 0.0000 2.8264
O 0.5755 0.0000 3.2261
O 1.1040 2.3636 4.7879
O 1.1040 5.5574 4.7879
O 1.6954 2.3750 1.9249
O 1.6954 5.5461 1.9249
O 2.3530 0.0000 0.3651
O 3.3726 3.9605 0.0501
O 3.9033 1.5709 4.2378
O 3.9033 6.3501 4.2378
O 4.4591 1.6179 1.4094
O 4.4591 6.3031 1.4094
O 5.0130 3.9605 2.9363
```

Symmetry   Pm, No. 6
Density   7.9 g/cm3
E   -6.555 eV/atom

=====

LiY2Fe4O8 | GGA+U | optimized geometry

The structure in extended XYZ format:
```
15
Lattice="6.0914 0.0000 0.0000 -3.0416 5.4066 0.0000 -0.0172 -3.5016 5.6264" Properties=species:S:1:pos:R:3 pbc="T T T"
Li 0.0000 0.0000 0.0000
Y -0.0025 0.0701 2.5487
Y 3.0351 1.8349 3.0777
Fe -1.5208 2.7033 0.0000
Fe 3.0457 0.0000 0.0000
Fe 3.0371 -1.7508 2.8132
Fe 1.5249 2.7033 0.0000
O -1.4897 2.6757 4.3342
O 1.5638 -0.7687 1.2882
O 0.0023 1.9704 1.5844
O -0.0147 0.1185 4.7099
O 3.0473 1.7865 0.9165
O 3.0303 -0.0654 4.0420
O 1.4688 2.6737 4.3382
O 4.5223 -0.7706 1.2922
```

Symmetry   P-1, No. 2
Density   4.8 g/cm3
E   -7.125 eV/atom
Relative energy among the computed polymorphs   22 meV/atom

=====

Q: Among the records above, which one has the highest density?
A: LaFe4Bi3O12